Version one
A plane-wave DFT calculation with GGA+U was carried out for an optimized crystal structure of LiCoC2O6.

Computed properties:
Total magnetization, μB per cell: 8.00
Space-group type: P1 (1)

Unit cell a=5.1073 b=10.2439 c=10.0794 alpha=79.29 beta=76.20 gamma=105.06
With the nearest neighbours (Å) after each atom.
Element x y z (fractional)
Li  0.3546  0.3482  0.7120  3 O 2.00-2.15
Li  0.3854  0.8580  0.1959  4 O 2.07-2.21
Li  0.6358  0.7059  0.8462  3 O 1.97-2.08
Li  0.6310  0.2324  0.3369  3 O 1.98-2.00
Co  0.0295  0.0080  0.9912  6 O 1.99-2.15
Co  0.9919  0.9909  0.5062  5 O 1.93-2.12
Co  0.0154  0.5072  0.4919  5 O 1.91-2.13
Co  0.9840  0.4914  0.0059  5 O 1.92-2.12
C  0.8673  0.1879  0.0755  3 O 1.28-1.30
C  0.8914  0.6881  0.5711  3 O 1.27-1.31
C  0.1184  0.5735  0.1879  3 O 1.27-1.31
C  0.1110  0.0685  0.6925  3 O 1.29-1.30
C  0.8494  0.4333  0.8092  3 O 1.27-1.31
C  0.8752  0.9334  0.3068  3 O 1.27-1.31
C  0.1421  0.8028  0.9324  3 O 1.27-1.32
C  0.1357  0.3103  0.4371  3 O 1.27-1.31
O  0.6989  0.0904  0.0400  1 C 1.30
O  0.7353  0.6044  0.5169  1 C 1.30
O  0.2698  0.5197  0.1042  1 C 1.30
O  0.2756  0.0242  0.6049  1 C 1.30
O  0.7840  0.2803  0.1281  1 C 1.28
O  0.8152  0.7790  0.6271  1 C 1.27
O  0.2009  0.6317  0.2784  1 C 1.27
O  0.1877  0.1235  0.7877  1 C 1.29
O  0.8732  0.5646  0.1651  1 C 1.31
O  0.8675  0.0582  0.6694  1 C 1.30
O  0.1243  0.1821  0.0568  1 C 1.30
O  0.1320  0.6638  0.5667  1 C 1.31
O  0.7163  0.4922  0.8960  1 C 1.31
O  0.7236  0.9812  0.3979  1 C 1.31
O  0.2794  0.8879  0.9950  1 C 1.32
O  0.2740  0.3959  0.4978  1 C 1.31
O  0.7579  0.3902  0.7137  1 C 1.27
O  0.7963  0.8930  0.2067  1 C 1.27
O  0.2354  0.7098  0.8892  1 C 1.27
O  0.2215  0.2158  0.3942  1 C 1.27
O  0.9103  0.8257  0.9173  1 C 1.30
O  0.9042  0.3365  0.4229  1 C 1.31
O  0.0843  0.4214  0.8339  1 C 1.31
O  0.1140  0.9292  0.3317  1 C 1.31

Version two
A plane-wave DFT calculation with GGA+U was carried out for an optimized crystal structure of LiCoC2O6.

Computed properties:
Total magnetization, μB per cell: 8.00
Space-group type: P1 (1)

Unit cell a=5.7011 b=15.6998 c=6.3464 alpha=95.98 beta=116.64 gamma=76.58
With the nearest neighbours (Å) after each atom.
Element x y z (fractional)
Li  0.3704  0.1692  0.0987  4 O 2.01-2.16
Li  0.8695  0.6691  0.0966  4 O 2.01-2.15
Li  0.2708  0.4198  0.4029  4 O 2.01-2.15
Li  0.7725  0.9189  0.4025  4 O 2.01-2.16
Co  0.9646  0.0010  0.9646  4 O 1.87-1.94
Co  0.4998  0.7509  0.5350  4 O 1.87-1.94
Co  0.4625  0.5013  0.9634  4 O 1.87-1.94
Co  0.9987  0.2512  0.5368  4 O 1.87-1.93
C  0.8015  0.1097  0.5706  3 O 1.24-1.34
C  0.2989  0.6101  0.5686  3 O 1.24-1.34
C  0.2278  0.3606  0.9306  3 O 1.25-1.34
C  0.7335  0.8592  0.9295  3 O 1.24-1.34
C  0.8725  0.1465  0.1125  3 O 1.28-1.31
C  0.3723  0.6467  0.1111  3 O 1.28-1.31
C  0.7600  0.3967  0.3880  3 O 1.28-1.31
C  0.2599  0.8964  0.3891  3 O 1.28-1.31
O  0.8468  0.0277  0.6446  1 C 1.34
O  0.3425  0.5282  0.6426  1 C 1.34
O  0.1978  0.2787  0.8568  1 C 1.34
O  0.7046  0.7774  0.8545  1 C 1.34
O  0.0772  0.1114  0.0684  1 C 1.31
O  0.5757  0.6116  0.0653  1 C 1.31
O  0.0093  0.3614  0.4341  1 C 1.31
O  0.5088  0.8616  0.4331  1 C 1.31
O  0.6864  0.1026  0.0408  1 C 1.28
O  0.1869  0.6026  0.0417  1 C 1.28
O  0.6434  0.3530  0.4578  1 C 1.28
O  0.1458  0.8523  0.4603  1 C 1.28
O  0.5702  0.1516  0.4515  1 C 1.24
O  0.0681  0.6525  0.4502  1 C 1.24
O  0.1151  0.4030  0.0490  1 C 1.25
O  0.6209  0.9010  0.0486  1 C 1.24
O  0.0207  0.1392  0.6291  1 C 1.32
O  0.5192  0.6388  0.6261  1 C 1.32
O  0.3905  0.3892  0.8728  1 C 1.32
O  0.8952  0.8887  0.8720  1 C 1.32
O  0.8602  0.2220  0.2126  1 C 1.29
O  0.3607  0.7223  0.2107  1 C 1.29
O  0.6502  0.4722  0.2877  1 C 1.29
O  0.1472  0.9719  0.2891  1 C 1.29

Which one sits at the top of the stability order? version one does.

Version one
A plane-wave DFT calculation with GGA+U was carried out for an optimized crystal structure of Fe10O9F11.

Computed properties:
Total magnetization, μB per cell: 49.00
Space-group type: C2 (5)

Unit cell a=4.8199 b=4.8199 c=15.3572 alpha=89.78 beta=89.78 gamma=94.70
With the nearest neighbours (Å) after each atom.
Element x y z (fractional)
Fe  0.0061  0.0064  0.8032  2 O 1.93-1.95, 4 F 1.99-2.15
Fe  0.0006  0.9994  0.0000  2 O 1.99, 4 F 2.19
Fe  0.9936  0.9939  0.1968  2 O 1.93-1.95, 4 F 1.99-2.15
Fe  0.0423  0.0206  0.4040  2 O 1.90-1.94, 4 F 2.01-2.09
Fe  0.9794  0.9577  0.5960  2 O 1.90-1.94, 4 F 2.01-2.09
Fe  0.5013  0.5015  0.9046  4 O 1.94-2.11, 2 F 2.11-2.12
Fe  0.4944  0.4831  0.2903  3 O 1.89-2.00
Fe  0.4985  0.4987  0.0954  4 O 1.94-2.11, 2 F 2.11-2.12
Fe  0.4612  0.5388  0.5000  3 O 1.94-1.95, 2 F 2.06
Fe  0.5169  0.5056  0.7097  3 O 1.89-2.00
O  0.1874  0.8126  0.5000  3 Fe 1.94
O  0.7096  0.7062  0.7996  3 Fe 1.89-2.10
O  0.6961  0.6960  0.0003  3 Fe 1.94-1.99
O  0.6997  0.6970  0.2032  3 Fe 1.91-2.11
O  0.6773  0.6777  0.5998  3 Fe 1.90-2.00
O  0.3030  0.3003  0.7968  3 Fe 1.91-2.11
O  0.3040  0.3039  0.9997  3 Fe 1.94-1.99
O  0.2938  0.2904  0.2004  3 Fe 1.89-2.10
O  0.3223  0.3227  0.4002  3 Fe 1.90-2.00
F  0.2064  0.7999  0.8924  3 Fe 1.99-2.19
F  0.2001  0.7936  0.1076  3 Fe 1.99-2.19
F  0.1946  0.8095  0.3044  3 Fe 2.01-2.23
F  0.1905  0.8054  0.6956  3 Fe 2.01-2.23
F  0.7060  0.7172  0.4011  3 Fe 2.06-2.25
F  0.2828  0.2940  0.5989  3 Fe 2.06-2.25
F  0.8000  0.2057  0.8924  3 Fe 1.99-2.19
F  0.8158  0.1899  0.3064  3 Fe 2.06-2.20
F  0.7943  0.2000  0.1076  3 Fe 1.99-2.19
F  0.8101  0.1842  0.6936  3 Fe 2.06-2.20
F  0.8118  0.1882  0.5000  2 Fe 2.05

Version two
A plane-wave DFT calculation with GGA+U was carried out for an optimized crystal structure of Fe10O9F11.

Computed properties:
Total magnetization, μB per cell: 49.00
Space-group type: Pm (6)

Unit cell a=15.3803 b=4.7884 c=4.7920 alpha=86.57 beta=90.00 gamma=90.00
With the nearest neighbours (Å) after each atom.
Element x y z (fractional)
Fe  0.4029  0.0069  0.9929  2 O 1.97-1.98, 4 F 2.06-2.15
Fe  0.5971  0.0069  0.9929  2 O 1.97-1.98, 4 F 2.06-2.15
Fe  0.8049  0.9583  0.0228  2 O 1.89-1.94, 4 F 2.02-2.12
Fe  0.0000  0.0104  0.9437  3 O 1.91-1.95, 2 F 2.14
Fe  0.1951  0.9583  0.0228  2 O 1.89-1.94, 4 F 2.02-2.12
Fe  0.5000  0.5018  0.4981  4 O 2.02, 2 F 2.06-2.07
Fe  0.8977  0.5276  0.5320  3 O 1.94-1.96, 2 F 2.05-2.10
Fe  0.6896  0.5074  0.4835  3 O 1.89-2.02
Fe  0.1023  0.5276  0.5320  3 O 1.94-1.96, 2 F 2.05-2.10
Fe  0.3104  0.5074  0.4835  3 O 1.89-2.02
O  0.8996  0.8104  0.8080  3 Fe 1.94-1.95
O  0.1004  0.8104  0.8080  3 Fe 1.94-1.95
O  0.4014  0.7040  0.2935  3 Fe 1.89-2.02
O  0.5986  0.7040  0.2935  3 Fe 1.89-2.02
O  0.7994  0.6786  0.3192  3 Fe 1.89-2.02
O  0.2006  0.6786  0.3192  3 Fe 1.89-2.02
O  0.3988  0.3051  0.6917  3 Fe 1.91-2.02
O  0.6012  0.3051  0.6917  3 Fe 1.91-2.02
O  0.0000  0.3234  0.6768  3 Fe 1.91-1.96
F  0.5000  0.8010  0.7903  3 Fe 2.06
F  0.7051  0.8004  0.8075  3 Fe 2.02-2.17
F  0.2949  0.8004  0.8075  3 Fe 2.02-2.17
F  0.0000  0.7143  0.2969  3 Fe 2.10-2.14
F  0.7992  0.2922  0.7134  3 Fe 2.05-2.23
F  0.2008  0.2922  0.7134  3 Fe 2.05-2.23
F  0.5000  0.2093  0.1980  3 Fe 2.06-2.07
F  0.9012  0.1911  0.1894  2 Fe 2.04-2.14
F  0.7070  0.1879  0.1942  3 Fe 2.06-2.15
F  0.2930  0.1879  0.1942  3 Fe 2.06-2.15
F  0.0988  0.1911  0.1894  2 Fe 2.04-2.14

Which one sits at the top of the stability order? version two does.

Version one
A plane-wave DFT calculation with GGA+U was carried out for an optimized crystal structure of Fe10O9F11.

Computed properties:
Total magnetization, μB per cell: 49.00
Space-group type: P1 (1)

Unit cell a=4.7519 b=4.7599 c=15.4477 alpha=90.32 beta=89.99 gamma=93.46
With the nearest neighbours (Å) after each atom.
Element x y z (fractional)
Fe  0.9965  0.9947  0.9966  2 O 1.94-1.96, 4 F 1.99-2.10
Fe  0.0041  0.0042  0.2007  2 O 1.93-1.96, 4 F 2.03-2.05
Fe  0.9787  0.9602  0.4081  2 O 1.88-1.91, 3 F 1.98-2.09
Fe  0.0488  0.0004  0.6035  3 O 1.89-2.00, 2 F 2.08-2.10
Fe  0.0253  0.0120  0.7935  2 O 1.97-2.03, 4 F 2.06-2.21
Fe  0.5001  0.4996  0.0991  4 O 1.98-2.05, 2 F 2.13-2.14
Fe  0.4702  0.5282  0.4995  3 O 1.91-1.98, 2 F 2.05-2.13
Fe  0.5130  0.5057  0.2922  3 O 1.93-1.95, 3 F 2.13-2.16
Fe  0.4580  0.5024  0.7024  3 O 1.92-1.97, 1 F 2.14
Fe  0.4927  0.4867  0.9070  3 O 1.91-2.00, 3 F 2.08-2.13
O  0.1887  0.8073  0.4980  3 Fe 1.88-2.00
O  0.2092  0.8040  0.6952  3 Fe 1.89-2.03
O  0.2967  0.2939  0.0043  3 Fe 1.96-1.98
O  0.3018  0.2994  0.2011  3 Fe 1.93-2.05
O  0.3154  0.3189  0.5951  3 Fe 1.91-1.97
O  0.3191  0.3208  0.8059  3 Fe 1.91-1.97
O  0.7007  0.6973  0.0019  3 Fe 1.94-2.00
O  0.7047  0.7021  0.1984  3 Fe 1.93-2.02
O  0.6771  0.6787  0.3968  3 Fe 1.91-1.98
F  0.1924  0.8071  0.1014  3 Fe 2.03-2.13
F  0.1877  0.8019  0.3010  3 Fe 2.05-2.16
F  0.2035  0.7979  0.9050  3 Fe 1.99-2.20
F  0.2876  0.2896  0.3945  3 Fe 2.09-2.14
F  0.7040  0.7099  0.5987  3 Fe 2.05-2.19
F  0.7042  0.7028  0.8034  3 Fe 2.06-2.14
F  0.8082  0.1905  0.1014  3 Fe 2.03-2.14
F  0.8018  0.1920  0.4970  1 Fe 1.98
F  0.8065  0.1855  0.3023  3 Fe 2.04-2.15
F  0.8027  0.1962  0.9034  3 Fe 1.99-2.21
F  0.8007  0.2101  0.6924  3 Fe 2.10-2.21

Version two
A plane-wave DFT calculation with GGA+U was carried out for an optimized crystal structure of Fe10O9F11.

Computed properties:
Total magnetization, μB per cell: 49.00
Space-group type: Pm (6)

Unit cell a=15.5050 b=4.7547 c=4.7663 alpha=87.82 beta=90.00 gamma=90.00
With the nearest neighbours (Å) after each atom.
Element x y z (fractional)
Fe  0.3029  0.9944  0.9857  3 O 1.97-1.99, 3 F 2.05-2.12
Fe  0.5000  0.9767  0.9742  2 O 1.90, 4 F 2.05-2.11
Fe  0.6971  0.9944  0.9857  3 O 1.97-1.99, 3 F 2.05-2.12
Fe  0.9090  0.9715  0.0119  2 O 1.94-1.95, 3 F 2.09-2.15
Fe  0.0910  0.9715  0.0119  2 O 1.94-1.95, 3 F 2.09-2.15
Fe  0.3880  0.5239  0.5226  3 O 1.93-1.97, 2 F 2.14-2.15
Fe  0.7977  0.5024  0.4805  3 O 1.92-2.01, 3 F 2.08-2.13
Fe  0.6120  0.5239  0.5226  3 O 1.93-1.97, 2 F 2.14-2.15
Fe  0.0000  0.5433  0.5023  3 O 1.90-1.94, 1 F 2.12
Fe  0.2023  0.5024  0.4805  3 O 1.92-2.01, 3 F 2.08-2.13
O  0.4017  0.8118  0.8060  3 Fe 1.90-1.97
O  0.5983  0.8118  0.8060  3 Fe 1.90-1.97
O  0.0000  0.7983  0.7995  3 Fe 1.90-1.94
O  0.2991  0.7021  0.2953  3 Fe 1.93-1.99
O  0.7009  0.7021  0.2953  3 Fe 1.93-1.99
O  0.8969  0.6856  0.3150  3 Fe 1.92-1.95
O  0.1031  0.6856  0.3150  3 Fe 1.92-1.95
O  0.2969  0.3022  0.6948  3 Fe 1.93-2.01
O  0.7031  0.3022  0.6948  3 Fe 1.93-2.01
F  0.7994  0.8007  0.8026  3 Fe 2.05-2.15
F  0.2006  0.8007  0.8026  3 Fe 2.05-2.15
F  0.5000  0.6956  0.3117  3 Fe 2.05-2.15
F  0.5000  0.3160  0.6931  3 Fe 2.06-2.14
F  0.8990  0.2958  0.7053  3 Fe 2.09-2.17
F  0.1010  0.2958  0.7053  3 Fe 2.09-2.17
F  0.4049  0.1988  0.1937  3 Fe 2.11-2.26
F  0.7994  0.1891  0.1877  3 Fe 2.08-2.17
F  0.5951  0.1988  0.1937  3 Fe 2.11-2.26
F  0.2006  0.1891  0.1877  3 Fe 2.08-2.17
F  0.0000  0.2134  0.2168  3 Fe 2.09-2.12

Which one sits at the top of the stability order? version two does.